Entry one
Density functional theory data (GGA+U) for BaYMn2O5 after structural relaxation.

a = 5.6162 Å, b = 5.6162 Å, c = 7.8015 Å
α = 90.00°, β = 90.00°, γ = 90.00°
Closest atoms and distances in Å follow each position.
Sites, in units of the cell vectors:
1 Ba 0.2500 0.2500 0.0000  4 O 2.81
2 Ba 0.7500 0.7500 0.0000  4 O 2.81
3 Y 0.2500 0.2500 0.5000  8 O 2.44
4 Y 0.7500 0.7500 0.5000  8 O 2.44
5 Mn 0.7500 0.2500 0.7230  5 O 1.94-2.10
6 Mn 0.2500 0.7500 0.2770  5 O 1.94-2.10
7 Mn 0.2500 0.7500 0.7466  5 O 2.04-2.12
8 Mn 0.7500 0.2500 0.2534  5 O 2.04-2.12
9 O 0.2500 0.7500 0.0079  2 Mn 2.04-2.10
10 O 0.7500 0.2500 0.9920  2 Mn 2.04-2.10
11 O 0.0094 0.9906 0.3193  2 Mn 1.94-2.12
12 O 0.4906 0.5094 0.3193  2 Mn 1.94-2.12
13 O 0.4906 0.9906 0.3193  2 Mn 1.94-2.12
14 O 0.0094 0.5094 0.3193  2 Mn 1.94-2.12
15 O 0.5094 0.4906 0.6807  2 Mn 1.94-2.12
16 O 0.9906 0.0094 0.6807  2 Mn 1.94-2.12
17 O 0.5094 0.0094 0.6807  2 Mn 1.94-2.12
18 O 0.9906 0.4906 0.6807  2 Mn 1.94-2.12

total moment	2.0	Bohr magnetons per cell
space-group type	No. 129

***

Entry two
Density functional theory data (GGA+U) for BaYMn2O5 after structural relaxation.

a = 5.6142 Å, b = 5.6142 Å, c = 8.7759 Å
α = 71.35°, β = 71.35°, γ = 90.00°
Closest atoms and distances in Å follow each position.
Sites, in units of the cell vectors:
1 Ba 0.7500 0.2500 0.0000  4 O 2.81
2 Ba 0.2500 0.7500 0.0000  4 O 2.81
3 Y 0.5000 0.0000 0.5000  8 O 2.44
4 Y 0.0000 0.5000 0.5000  8 O 2.44
5 Mn 0.8881 0.8881 0.7238  5 O 1.94-2.10
6 Mn 0.1119 0.1119 0.2762  5 O 1.94-2.10
7 Mn 0.3764 0.3764 0.7472  5 O 2.04-2.12
8 Mn 0.6236 0.6236 0.2528  5 O 2.04-2.12
9 O 0.2459 0.2459 0.0081  2 Mn 2.04-2.10
10 O 0.7541 0.7541 0.9918  2 Mn 2.04-2.10
11 O 0.3314 0.3314 0.3196  2 Mn 1.94-2.12
12 O 0.8490 0.8490 0.3196  2 Mn 1.94-2.12
13 O 0.3314 0.8490 0.3196  2 Mn 1.94-2.12
14 O 0.8490 0.3314 0.3196  2 Mn 1.94-2.12
15 O 0.6686 0.6686 0.6804  2 Mn 1.94-2.12
16 O 0.1510 0.1510 0.6804  2 Mn 1.94-2.12
17 O 0.1510 0.6686 0.6804  2 Mn 1.94-2.12
18 O 0.6686 0.1510 0.6804  2 Mn 1.94-2.12

total moment	2.0	Bohr magnetons per cell
space-group type	No. 139

***

Entry three
Density functional theory data (GGA+U) for BaYMn2O5 after structural relaxation.

a = 3.9766 Å, b = 3.9766 Å, c = 7.7866 Å
α = 90.00°, β = 90.00°, γ = 89.99°
Closest atoms and distances in Å follow each position.
Sites, in units of the cell vectors:
1 Ba 0.0000 0.5000 0.0000  4 O 2.81
2 Y 0.0000 0.5000 0.5000  8 O 2.44
3 Mn 0.5000 0.0000 0.2671  5 O 2.03-2.08
4 Mn 0.5000 0.0000 0.7330  5 O 2.03-2.08
5 O 0.5000 0.0000 0.0000  2 Mn 2.08
6 O 0.0000 0.0000 0.3184  2 Mn 2.03
7 O 0.5000 0.5000 0.3184  2 Mn 2.03
8 O 0.0000 0.0000 0.6816  2 Mn 2.03
9 O 0.5000 0.5000 0.6816  2 Mn 2.03

total moment	0.0	Bohr magnetons per cell
space-group type	No. 123

***

Which one sits at the top of the stability order? entry three does.

***

Entry one
Density functional theory data (GGA+U) for Ba2YMn3O8 after structural relaxation.

a = 3.9774 Å, b = 23.7047 Å, c = 3.9774 Å
α = 90.00°, β = 90.00°, γ = 90.00°
Closest atoms and distances in Å follow each position.
Sites, in units of the cell vectors:
1 Ba 0.5000 0.0821 0.5000  8 O 2.78-2.81
2 Ba 0.5000 0.5821 0.5000  8 O 2.78-2.81
3 Ba 0.5000 0.4179 0.5000  8 O 2.78-2.81
4 Ba 0.5000 0.9179 0.5000  8 O 2.78-2.81
5 Y 0.5000 0.2500 0.5000  8 O 2.44
6 Y 0.5000 0.7500 0.5000  8 O 2.44
7 Mn 0.0000 0.5000 0.0000  6 O 1.99-2.03
8 Mn 0.0000 0.6715 0.0000  5 O 2.03-2.04
9 Mn 0.0000 0.3285 0.0000  5 O 2.03-2.04
10 Mn 0.0000 0.0000 0.0000  6 O 1.99-2.04
11 Mn 0.0000 0.1715 0.0000  5 O 2.03-2.04
12 Mn 0.0000 0.8285 0.0000  5 O 2.03-2.04
13 O 0.0000 0.0000 0.5000  2 Mn 1.99
14 O 0.0000 0.5000 0.5000  2 Mn 1.99
15 O 0.5000 0.0000 0.0000  2 Mn 1.99
16 O 0.5000 0.5000 0.0000  2 Mn 1.99
17 O 0.0000 0.0858 0.0000  2 Mn 2.03
18 O 0.0000 0.5858 0.0000  2 Mn 2.03
19 O 0.0000 0.4142 0.0000  2 Mn 2.03
20 O 0.0000 0.9141 0.0000  2 Mn 2.03-2.04
21 O 0.5000 0.1907 0.0000  2 Mn 2.04
22 O 0.5000 0.6907 0.0000  2 Mn 2.04
23 O 0.0000 0.1907 0.5000  2 Mn 2.04
24 O 0.0000 0.6907 0.5000  2 Mn 2.04
25 O 0.5000 0.3093 0.0000  2 Mn 2.04
26 O 0.5000 0.8093 0.0000  2 Mn 2.04
27 O 0.0000 0.3093 0.5000  2 Mn 2.04
28 O 0.0000 0.8093 0.5000  2 Mn 2.04

total moment	0.0	Bohr magnetons per cell

***

Entry two
Density functional theory data (GGA+U) for Ba2YMn3O8 after structural relaxation.

a = 5.6105 Å, b = 5.6105 Å, c = 12.4801 Å
α = 77.01°, β = 102.99°, γ = 90.01°
Closest atoms and distances in Å follow each position.
Sites, in units of the cell vectors:
1 Ba 0.0840 0.4159 0.1681  8 O 2.80-2.81
2 Ba 0.5841 0.9159 0.1681  8 O 2.80-2.81
3 Ba 0.4163 0.0837 0.8326  8 O 2.81
4 Ba 0.9163 0.5837 0.8326  8 O 2.81
5 Y 0.2502 0.2498 0.5004  8 O 2.42-2.45
6 Y 0.7502 0.7498 0.5004  8 O 2.42-2.45
7 Mn 0.0008 0.9991 0.0018  6 O 1.95-1.98
8 Mn 0.1744 0.8256 0.3489  5 O 1.95-2.12
9 Mn 0.3247 0.6753 0.6493  5 O 1.95-2.16
10 Mn 0.4993 0.5007 0.9985  6 O 1.97-1.98
11 Mn 0.6677 0.3323 0.3354  5 O 2.01-2.12
12 Mn 0.8324 0.1676 0.6648  5 O 2.04-2.13
13 O 0.7507 0.2493 0.0012  2 Mn 1.98
14 O 0.2505 0.7495 0.0012  2 Mn 1.98
15 O 0.7507 0.7495 0.0012  2 Mn 1.98
16 O 0.2505 0.2493 0.0012  2 Mn 1.98
17 O 0.0847 0.9153 0.1695  2 Mn 1.98-2.12
18 O 0.5827 0.4173 0.1654  2 Mn 1.97-2.01
19 O 0.9185 0.0815 0.8371  2 Mn 1.95-2.04
20 O 0.4159 0.5841 0.8318  2 Mn 1.97-2.16
21 O 0.4307 0.0512 0.3796  2 Mn 1.95-2.12
22 O 0.9488 0.5693 0.3796  2 Mn 1.95-2.12
23 O 0.4307 0.5693 0.3796  2 Mn 1.95-2.12
24 O 0.9488 0.0512 0.3795  2 Mn 1.95-2.12
25 O 0.0681 0.4500 0.6180  2 Mn 1.95-2.13
26 O 0.5500 0.9319 0.6180  2 Mn 1.95-2.13
27 O 0.5500 0.4500 0.6181  2 Mn 1.95-2.13
28 O 0.0681 0.9319 0.6181  2 Mn 1.95-2.13

total moment	24.0	Bohr magnetons per cell
space-group type	No. 107

***

Which one sits at the top of the stability order? entry one does.